No. 1
A plane-wave DFT calculation with GGA-PBE was carried out for an optimized crystal structure of La3Te4Br.

Cell: 16.4913 4.4058 14.4146 Å, 90.00 90.00 90.00°
Space group Pnma (No. 62)
Inequivalent atoms, fractional coordinates:
La1 0.1189 0.2500 0.2500 x4
La2 0.1261 0.7500 0.5900 x4
La3 0.1337 0.2500 0.9265 x4
Te1 0.0243 0.7500 0.3875 x4
Te2 0.0724 0.7500 0.0809 x4
Te3 0.2169 0.2500 0.4520 x4
Te4 0.2330 0.2500 0.7225 x4
Br1 0.0682 0.7500 0.7973 x4

The volume is 32.7 Å³ per atom. The total energy comes out at -169.67 eV per cell. Its energy relative to the elements is -1742 meV/atom.

No. 2
A plane-wave DFT calculation with GGA-PBE was carried out for an optimized crystal structure of DySe.

Cell: 4.1461 4.1461 8.4981 Å, 90.00 90.00 120.00°
Space group P6_3mc (No. 186)
Inequivalent atoms, fractional coordinates:
Dy1 0.3333 0.6667 0.0000 x2
Se1 0.3333 0.6667 0.3259 x2

As for the magnetization: 0.972 μB/f.u. The volume is 31.6 Å³ per atom. The total energy comes out at -21.29 eV per cell. Its energy relative to the elements is -1507 meV/atom.